An optimized crystal structure of Ta2CuO6. Source: the Materials Project database, functional PBE.

Cell: 9.1834 5.1709 5.6407 Å, 90.00 123.67 90.00°
With the nearest neighbours (Å) after each atom.
Space group C2 (No. 5)
Asymmetric unit:
Ta1 0.2459 0.0000 0.2382 x4  6 O 1.93-2.07
Cu1 0.0000 0.0163 0.5000 x2  3 O 1.93-1.97
O1 0.0000 0.6347 0.5000 x2  1 Cu 1.97, 2 Ta 2.07
O2 0.0000 0.9058 0.0000 x2  2 Ta 1.94
O3 0.1903 0.1779 0.5042 x4  1 Cu 1.93, 2 Ta 2.05-2.07
O4 0.1980 0.2911 0.9898 x4  2 Ta 1.93-1.95

- volume (A^3/atom) = 12.4
- ρ (g/cm³) = 7.8
- relative energy among the computed polymorphs (meV/atom) = 76
- energy of formation (eV per atom) = -2.7010